No. 1
# Li3Cr2P3O12

A relaxed structure of Li3Cr2P3O12 (PBE with a Hubbard U, the Materials Project).

Results
Crystal system: cubic
DFT formation energy, meV per atom: -2633.1
Volume, A^3/atom: 10.1
Total magnetic moment, μB/atom: 0.300

```
data_Li3Cr2P3O12
_chemical_formula_sum 'Li24 Cr16 P24 O96'
_cell_length_a 11.732
_cell_length_b 11.732
_cell_length_c 11.732
_cell_angle_alpha 90.00
_cell_angle_beta 90.00
_cell_angle_gamma 90.00
_symmetry_space_group_name_H-M 'I a -3 d'
_symmetry_Int_Tables_number 230
_symmetry_space_group_name_Hall '-I 4bd 2c 3'
loop_
_atom_site_label
_atom_site_type_symbol
_atom_site_fract_x
_atom_site_fract_y
_atom_site_fract_z
Li1 Li 0.000 0.250 0.125
Cr1 Cr 0.000 0.000 0.000
P1 P 0.000 0.250 0.375
O1 O 0.042 0.048 0.658
```

No. 2
# NbV3O8

A relaxed structure of NbV3O8 (PBE with a Hubbard U, the Materials Project).

Results
Crystal system: monoclinic
DFT formation energy, meV per atom: -2636.2
Volume, A^3/atom: 12.8

```
data_NbV3O8
_chemical_formula_sum 'Nb2 V6 O16'
_cell_length_a 12.479
_cell_length_b 3.830
_cell_length_c 6.682
_cell_angle_alpha 90.00
_cell_angle_beta 106.11
_cell_angle_gamma 90.00
_symmetry_space_group_name_H-M 'C 1 m 1'
_symmetry_Int_Tables_number 8
loop_
_symmetry_equiv_pos_as_xyz
'x,y,z'
'x,-y,z'
'x+1/2,y+1/2,z'
'x+1/2,-y+1/2,z'
loop_
_atom_site_label
_atom_site_type_symbol
_atom_site_fract_x
_atom_site_fract_y
_atom_site_fract_z
Nb1 Nb 0.000 0.000 0.000
V1 V 0.095 0.000 0.587
V2 V 0.297 0.000 0.956
V3 V 0.390 0.000 0.538
O1 O 0.061 0.500 0.574
O2 O 0.062 0.000 0.279
O3 O 0.132 0.000 0.896
O4 O 0.254 0.000 0.643
O5 O 0.334 0.500 0.974
O6 O 0.336 0.000 0.278
O7 O 0.432 0.500 0.616
O8 O 0.463 0.000 0.926
```

No. 3
# Ca5DyTi5FeSi6O30

A relaxed structure of Ca5DyTi5FeSi6O30 (PBE with a Hubbard U, the Materials Project).

Results
Crystal system: triclinic
DFT formation energy, meV per atom: -3400.7
Volume, A^3/atom: 11.9
Total magnetic moment, μB/atom: 0.104

```
data_Ca5DyTi5FeSi6O30
_chemical_formula_sum 'Ca5 Dy1 Ti5 Fe1 Si6 O30'
_cell_length_a 5.511
_cell_length_b 7.515
_cell_length_c 14.508
_cell_angle_alpha 86.85
_cell_angle_beta 85.18
_cell_angle_gamma 72.33
_symmetry_space_group_name_H-M 'P 1'
_symmetry_Int_Tables_number 1
loop_
_symmetry_equiv_pos_as_xyz
'x,y,z'
loop_
_atom_site_label
_atom_site_type_symbol
_atom_site_fract_x
_atom_site_fract_y
_atom_site_fract_z
Ca1 Ca 0.000 0.000 0.000
Ca2 Ca 0.124 0.219 0.279
Ca3 Ca 0.331 0.670 0.332
Ca4 Ca 0.665 0.338 0.671
Ca5 Ca 0.797 0.546 0.945
Dy1 Dy 0.458 0.886 0.614
Ti1 Ti 0.061 0.611 0.140
Ti2 Ti 0.391 0.286 0.475
Ti3 Ti 0.396 0.275 0.972
Ti4 Ti 0.723 0.948 0.307
Ti5 Ti 0.735 0.937 0.807
Fe1 Fe 0.063 0.607 0.641
Si1 Si 0.136 0.213 0.783
Si2 Si 0.326 0.671 0.830
Si3 Si 0.470 0.882 0.116
Si4 Si 0.655 0.337 0.162
Si5 Si 0.796 0.554 0.451
Si6 Si 0.992 0.999 0.496
O1 O 0.003 0.982 0.383
O2 O 0.027 0.760 0.871
O3 O 0.097 0.460 0.411
O4 O 0.127 0.230 0.896
O5 O 0.139 0.466 0.032
O6 O 0.146 0.796 0.544
O7 O 0.164 0.129 0.529
O8 O 0.294 0.754 0.087
O9 O 0.331 0.411 0.581
O10 O 0.335 0.088 0.068
O11 O 0.343 0.662 0.716
O12 O 0.357 0.429 0.206
O13 O 0.431 0.116 0.737
O14 O 0.454 0.905 0.229
O15 O 0.460 0.461 0.874
O16 O 0.468 0.133 0.366
O17 O 0.499 0.797 0.863
O18 O 0.629 0.420 0.420
O19 O 0.659 0.089 0.911
O20 O 0.660 0.758 0.401
O21 O 0.670 0.315 0.049
O22 O 0.691 0.081 0.539
O23 O 0.768 0.585 0.564
O24 O 0.768 0.790 0.074
O25 O 0.791 0.805 0.699
O26 O 0.792 0.130 0.211
O27 O 0.830 0.465 0.192
O28 O 0.965 0.083 0.752
O29 O 0.986 0.753 0.246
O30 O 0.996 0.421 0.739
```

No. 4
# Fe2Ir2O5

A relaxed structure of Fe2Ir2O5 (PBE with a Hubbard U, the Materials Project).

Results
Crystal system: tetragonal
DFT formation energy, meV per atom: -646.6
Volume, A^3/atom: 11.3
Total magnetic moment, μB/atom: 1.053

```
data_Fe2Ir2O5
_chemical_formula_sum 'Fe2 Ir2 O5'
_cell_length_a 3.459
_cell_length_b 3.459
_cell_length_c 8.494
_cell_angle_alpha 90.00
_cell_angle_beta 90.00
_cell_angle_gamma 90.00
_symmetry_space_group_name_H-M 'P 4/m m m'
_symmetry_Int_Tables_number 123
_symmetry_space_group_name_Hall '-P 4 2'
loop_
_atom_site_label
_atom_site_type_symbol
_atom_site_fract_x
_atom_site_fract_y
_atom_site_fract_z
Fe1 Fe 0.000 0.000 0.229
Ir1 Ir 0.500 0.500 0.000
Ir2 Ir 0.500 0.500 0.500
O1 O 0.000 0.000 0.000
O2 O 0.000 0.500 0.359
```

No. 5
# SmV2O2

A relaxed structure of SmV2O2 (PBE with a Hubbard U, the Materials Project).

Results
Crystal system: tetragonal
DFT formation energy, meV per atom: -967.6
Volume, A^3/atom: 18.5
Total magnetic moment, μB/atom: 1.215

```
data_SmV2O2
_chemical_formula_sum 'Sm8 V16 O16'
_cell_length_a 8.997
_cell_length_b 8.997
_cell_length_c 9.159
_cell_angle_alpha 90.00
_cell_angle_beta 90.00
_cell_angle_gamma 90.00
_symmetry_space_group_name_H-M 'I 41/a m d'
_symmetry_Int_Tables_number 141
loop_
_symmetry_equiv_pos_as_xyz
'x,y,z'
'-x,-y,-z'
'-y+1/4,x+3/4,z+1/4'
'y+1/4,-x+3/4,-z+1/4'
'-x+1/2,-y,z+1/2'
'x+1/2,y,-z+1/2'
'y+1/4,-x+1/4,z+3/4'
'-y+1/4,x+1/4,-z+3/4'
'x,-y,-z'
'-x,y,z'
'-y+1/4,-x+1/4,-z+3/4'
'y+1/4,x+1/4,z+3/4'
'-x+1/2,y,-z+1/2'
'x+1/2,-y,z+1/2'
'y+1/4,x+3/4,-z+1/4'
'-y+1/4,-x+3/4,z+1/4'
'x+1/2,y+1/2,z+1/2'
'-x+1/2,-y+1/2,-z+1/2'
'-y+3/4,x+1/4,z+3/4'
'y+3/4,-x+1/4,-z+3/4'
'-x,-y+1/2,z'
'x,y+1/2,-z'
'y+3/4,-x+3/4,z+1/4'
'-y+3/4,x+3/4,-z+1/4'
'x+1/2,-y+1/2,-z+1/2'
'-x+1/2,y+1/2,z+1/2'
'-y+3/4,-x+3/4,-z+1/4'
'y+3/4,x+3/4,z+1/4'
'-x,y+1/2,-z'
'x,-y+1/2,z'
'y+3/4,x+1/4,-z+3/4'
'-y+3/4,-x+1/4,z+3/4'
loop_
_atom_site_label
_atom_site_type_symbol
_atom_site_fract_x
_atom_site_fract_y
_atom_site_fract_z
Sm1 Sm 0.000 0.000 0.000
V1 V 0.000 0.078 0.626
O1 O 0.000 0.095 0.226
```

No. 6
# LiV2P3O12

A relaxed structure of LiV2P3O12 (PBE with a Hubbard U, the Materials Project).

Results
Crystal system: monoclinic
DFT formation energy, meV per atom: -2643.6
Volume, A^3/atom: 12.6
Total magnetic moment, μB/atom: 0.111

```
data_LiV2P3O12
_chemical_formula_sum 'Li4 V8 P12 O48'
_cell_length_a 14.879
_cell_length_b 8.570
_cell_length_c 8.601
_cell_angle_alpha 90.00
_cell_angle_beta 124.02
_cell_angle_gamma 90.00
_symmetry_space_group_name_H-M 'C 1 c 1'
_symmetry_Int_Tables_number 9
loop_
_symmetry_equiv_pos_as_xyz
'x,y,z'
'x,-y,z+1/2'
'x+1/2,y+1/2,z'
'x+1/2,-y+1/2,z+1/2'
loop_
_atom_site_label
_atom_site_type_symbol
_atom_site_fract_x
_atom_site_fract_y
_atom_site_fract_z
Li1 Li 0.000 0.161 0.000
V1 V 0.204 0.248 0.373
V2 V 0.412 0.244 0.024
P1 P 0.167 0.113 0.704
P2 P 0.307 0.464 0.201
P3 P 0.446 0.112 0.687
O1 O 0.047 0.302 0.220
O2 O 0.064 0.194 0.659
O3 O 0.147 0.066 0.199
O4 O 0.187 0.144 0.548
O5 O 0.223 0.358 0.204
O6 O 0.246 0.439 0.524
O7 O 0.263 0.171 0.895
O8 O 0.353 0.175 0.495
O9 O 0.371 0.440 0.886
O10 O 0.398 0.360 0.214
O11 O 0.427 0.141 0.841
O12 O 0.459 0.067 0.179
```

No. 7
# BaSrCeNiO6

A relaxed structure of BaSrCeNiO6 (PBE with a Hubbard U, the Materials Project).

Results
Crystal system: cubic
DFT formation energy, meV per atom: -2636.2
Volume, A^3/atom: 13.8
Total magnetic moment, μB/atom: 0.000

```
data_BaSrCeNiO6
_chemical_formula_sum 'Ba4 Sr4 Ce4 Ni4 O24'
_cell_length_a 8.212
_cell_length_b 8.212
_cell_length_c 8.212
_cell_angle_alpha 90.00
_cell_angle_beta 90.00
_cell_angle_gamma 90.00
_symmetry_space_group_name_H-M 'F -4 3 m'
_symmetry_Int_Tables_number 216
_symmetry_space_group_name_Hall 'F -4 2 3'
loop_
_atom_site_label
_atom_site_type_symbol
_atom_site_fract_x
_atom_site_fract_y
_atom_site_fract_z
Ba1 Ba 0.000 0.000 0.000
Sr1 Sr 0.000 0.000 0.500
Ce1 Ce 0.250 0.250 0.250
Ni1 Ni 0.250 0.250 0.750
O1 O 0.018 0.250 0.750
```

No. 8
# Dy2WO6

A relaxed structure of Dy2WO6 (PBE with a Hubbard U, the Materials Project).

Results
Crystal system: monoclinic
DFT formation energy, meV per atom: -3277.7
Volume, A^3/atom: 13.1
Total magnetic moment, μB/atom: 0.000

```
data_Dy2WO6
_chemical_formula_sum 'Dy16 W8 O48'
_cell_length_a 16.366
_cell_length_b 11.124
_cell_length_c 5.408
_cell_angle_alpha 90.00
_cell_angle_beta 107.23
_cell_angle_gamma 90.00
_symmetry_space_group_name_H-M 'C 1 2/c 1'
_symmetry_Int_Tables_number 15
loop_
_symmetry_equiv_pos_as_xyz
'x,y,z'
'-x,-y,-z'
'-x,y,-z+1/2'
'x,-y,z+1/2'
'x+1/2,y+1/2,z'
'-x+1/2,-y+1/2,-z'
'-x+1/2,y+1/2,-z+1/2'
'x+1/2,-y+1/2,z+1/2'
loop_
_atom_site_label
_atom_site_type_symbol
_atom_site_fract_x
_atom_site_fract_y
_atom_site_fract_z
Dy1 Dy 0.000 0.105 0.250
Dy2 Dy 0.000 0.366 0.750
Dy3 Dy 0.170 0.115 0.883
W1 W 0.153 0.353 0.434
O1 O 0.076 0.236 0.579
O2 O 0.078 0.467 0.480
O3 O 0.091 0.016 0.078
O4 O 0.102 0.278 0.115
O5 O 0.233 0.294 0.739
O6 O 0.234 0.450 0.353
```

No. 9
# VHg2O4

A relaxed structure of VHg2O4 (PBE with a Hubbard U, the Materials Project).

Results
Crystal system: monoclinic
DFT formation energy, meV per atom: -1480.1
Volume, A^3/atom: 16.6

```
data_VHg2O4
_chemical_formula_sum 'V8 Hg16 O32'
_cell_length_a 3.739
_cell_length_b 16.875
_cell_length_c 15.177
_cell_angle_alpha 90.00
_cell_angle_beta 104.17
_cell_angle_gamma 90.00
_symmetry_space_group_name_H-M 'P 1 21/c 1'
_symmetry_Int_Tables_number 14
loop_
_symmetry_equiv_pos_as_xyz
'x,y,z'
'-x,-y,-z'
'-x,y+1/2,-z+1/2'
'x,-y+1/2,z+1/2'
loop_
_atom_site_label
_atom_site_type_symbol
_atom_site_fract_x
_atom_site_fract_y
_atom_site_fract_z
V1 V 0.121 0.179 0.119
V2 V 0.369 0.672 0.871
Hg1 Hg 0.000 0.000 0.500
Hg2 Hg 0.250 0.506 0.250
Hg3 Hg 0.377 0.179 0.874
Hg4 Hg 0.496 0.168 0.376
Hg5 Hg 0.500 0.000 0.000
O1 O 0.023 0.128 0.021
O2 O 0.125 0.203 0.624
O3 O 0.128 0.565 0.125
O4 O 0.213 0.114 0.208
O5 O 0.274 0.623 0.772
O6 O 0.312 0.051 0.874
O7 O 0.374 0.710 0.376
O8 O 0.455 0.607 0.959
```

No. 10
# Li9Mn2Co5O16

A relaxed structure of Li9Mn2Co5O16 (PBE with a Hubbard U, the Materials Project).

Results
Crystal system: triclinic
DFT formation energy, meV per atom: -1814.2
Volume, A^3/atom: 8.9
Total magnetic moment, μB/atom: 0.250

```
data_Li9Mn2Co5O16
_chemical_formula_sum 'Li9 Mn2 Co5 O16'
_cell_length_a 5.175
_cell_length_b 5.885
_cell_length_c 10.381
_cell_angle_alpha 104.57
_cell_angle_beta 94.84
_cell_angle_gamma 108.65
_symmetry_space_group_name_H-M 'P 1'
_symmetry_Int_Tables_number 1
loop_
_symmetry_equiv_pos_as_xyz
'x,y,z'
loop_
_atom_site_label
_atom_site_type_symbol
_atom_site_fract_x
_atom_site_fract_y
_atom_site_fract_z
Li1 Li 0.000 0.000 0.000
Li2 Li 0.000 0.498 0.000
Li3 Li 0.001 0.375 0.259
Li4 Li 0.008 0.759 0.503
Li5 Li 0.011 0.115 0.744
Li6 Li 0.499 0.188 0.626
Li7 Li 0.995 0.616 0.743
Li8 Li 0.997 0.880 0.255
Li9 Li 0.998 0.247 0.508
Mn1 Mn 0.498 0.433 0.128
Mn2 Mn 0.507 0.558 0.876
Co1 Co 0.496 0.310 0.388
Co2 Co 0.498 0.817 0.382
Co3 Co 0.502 0.061 0.874
Co4 Co 0.502 0.936 0.129
Co5 Co 0.507 0.690 0.627
O1 O 0.253 0.033 0.430
O2 O 0.258 0.168 0.183
O3 O 0.265 0.308 0.947
O4 O 0.271 0.545 0.440
O5 O 0.272 0.430 0.703
O6 O 0.283 0.912 0.704
O7 O 0.293 0.655 0.190
O8 O 0.301 0.786 0.946
O9 O 0.706 0.213 0.063
O10 O 0.715 0.073 0.308
O11 O 0.717 0.346 0.825
O12 O 0.728 0.569 0.300
O13 O 0.733 0.951 0.557
O14 O 0.735 0.695 0.060
O15 O 0.740 0.476 0.558
O16 O 0.747 0.823 0.819
```